# 1
Crystalline Tm2S3 at its relaxed geometry, computed with PBE-GGA.

Properties
formation energy: -2314.9 meV per atom
calculated volume: 20.82 Å³ per atom
ρ: 6.93 Mg/m³
total magnetic moment: 0.004 μB/cell

Unit cell a=13.610 b=13.610 c=13.610 alpha=144.82 beta=144.82 gamma=50.60
Element x y z (fractional)
Tm 0.049 0.428 0.900
Tm 0.165 0.165 0.000
Tm 0.178 0.299 0.400
Tm 0.222 0.822 0.121
Tm 0.258 0.125 0.633
Tm 0.375 0.742 0.867
Tm 0.492 0.625 0.367
Tm 0.528 0.149 0.100
Tm 0.572 0.472 0.621
Tm 0.585 0.085 0.500
Tm 0.701 0.101 0.879
Tm 0.835 0.835 0.000
Tm 0.851 0.951 0.379
Tm 0.875 0.508 0.133
Tm 0.899 0.778 0.600
Tm 0.915 0.415 0.500
S 0.074 0.828 0.615
S 0.172 0.787 0.246
S 0.189 0.092 0.746
S 0.193 0.596 0.754
S 0.209 0.463 0.885
S 0.213 0.459 0.385
S 0.247 0.001 0.118
S 0.346 0.443 0.254
S 0.404 0.158 0.597
S 0.503 0.121 0.254
S 0.537 0.422 0.746
S 0.541 0.926 0.754
S 0.557 0.811 0.903
S 0.561 0.807 0.403
S 0.578 0.324 0.115
S 0.676 0.791 0.254
S 0.751 0.497 0.618
S 0.842 0.439 0.246
S 0.866 0.249 0.746
S 0.871 0.753 0.754
S 0.879 0.134 0.382
S 0.884 0.129 0.882
S 0.908 0.654 0.097
S 0.999 0.116 0.246


# 2
Crystalline Tm5S7 at its relaxed geometry, computed with PBE-GGA.

Properties
formation energy: -2343.1 meV per atom
calculated volume: 22.01 Å³ per atom
ρ: 6.72 Mg/m³
total magnetic moment: 0.009 μB/cell

Unit cell a=6.595 b=6.595 c=11.478 alpha=103.83 beta=103.83 gamma=33.11
Element x y z (fractional)
Tm 0.000 0.000 0.000
Tm 0.401 0.401 0.627
Tm 0.586 0.586 0.389
Tm 0.700 0.700 0.810
Tm 0.810 0.810 0.232
S 0.041 0.041 0.761
S 0.194 0.194 0.305
S 0.359 0.359 0.862
S 0.438 0.438 0.163
S 0.658 0.658 0.025
S 0.741 0.741 0.595
S 0.957 0.957 0.458


# 3
Crystalline Tm5S7 at its relaxed geometry, computed with PBE-GGA.

Properties
formation energy: -2343.3 meV per atom
calculated volume: 21.88 Å³ per atom
ρ: 6.76 Mg/m³

Unit cell a=6.585 b=6.585 c=11.469 alpha=103.85 beta=103.85 gamma=33.04
Element x y z (fractional)
Tm 0.000 0.000 0.000
Tm 0.112 0.112 0.422
Tm 0.300 0.300 0.187
Tm 0.700 0.700 0.813
Tm 0.888 0.888 0.578
S 0.042 0.042 0.785
S 0.259 0.259 0.647
S 0.341 0.341 0.949
S 0.500 0.500 0.500
S 0.659 0.659 0.051
S 0.741 0.741 0.353
S 0.958 0.958 0.215


# 4
Crystalline Tm2ZnS4 at its relaxed geometry, computed with PBE-GGA.

Properties
formation energy: -1985.9 meV per atom
calculated volume: 23.47 Å³ per atom
ρ: 5.37 Mg/m³

Unit cell a=13.395 b=7.794 c=6.293 alpha=90.00 beta=90.00 gamma=90.00
Element x y z (fractional)
Tm 0.000 0.000 0.000
Tm 0.000 0.500 0.000
Tm 0.235 0.250 0.497
Tm 0.265 0.750 0.997
Tm 0.500 0.000 0.500
Tm 0.500 0.500 0.500
Tm 0.735 0.250 0.003
Tm 0.765 0.750 0.503
Zn 0.092 0.750 0.411
Zn 0.408 0.250 0.911
Zn 0.592 0.750 0.089
Zn 0.908 0.250 0.589
S 0.071 0.250 0.745
S 0.090 0.750 0.777
S 0.168 0.512 0.242
S 0.168 0.988 0.242
S 0.332 0.012 0.742
S 0.332 0.488 0.742
S 0.410 0.250 0.277
S 0.429 0.750 0.245
S 0.571 0.250 0.755
S 0.590 0.750 0.723
S 0.668 0.512 0.258
S 0.668 0.988 0.258
S 0.832 0.012 0.758
S 0.832 0.488 0.758
S 0.910 0.250 0.223
S 0.929 0.750 0.255


# 5
Crystalline US3 at its relaxed geometry, computed with PBE-GGA.

Properties
formation energy: -1483.6 meV per atom
calculated volume: 25.33 Å³ per atom
ρ: 5.48 Mg/m³

Unit cell a=5.417 b=3.922 c=9.611 alpha=90.00 beta=97.22 gamma=90.00
Element x y z (fractional)
U 0.219 0.250 0.363
U 0.781 0.750 0.637
S 0.010 0.250 0.811
S 0.264 0.750 0.564
S 0.371 0.750 0.189
S 0.629 0.250 0.811
S 0.736 0.250 0.436
S 0.990 0.750 0.189


# 6
Crystalline U2S5 at its relaxed geometry, computed with PBE-GGA.

Properties
formation energy: -1557.9 meV per atom
calculated volume: 19.32 Å³ per atom
ρ: 7.81 Mg/m³

Unit cell a=7.385 b=9.910 c=7.392 alpha=90.00 beta=90.00 gamma=90.00
Element x y z (fractional)
U 0.238 0.147 0.012
U 0.238 0.853 0.512
U 0.262 0.353 0.512
U 0.262 0.647 0.012
U 0.738 0.353 0.988
U 0.738 0.647 0.488
U 0.762 0.147 0.488
U 0.762 0.853 0.988
S 0.000 0.250 0.750
S 0.000 0.750 0.250
S 0.106 0.398 0.144
S 0.106 0.602 0.644
S 0.133 0.106 0.383
S 0.133 0.894 0.883
S 0.367 0.394 0.883
S 0.367 0.606 0.383
S 0.394 0.102 0.644
S 0.394 0.898 0.144
S 0.500 0.250 0.250
S 0.500 0.750 0.750
S 0.606 0.102 0.856
S 0.606 0.898 0.356
S 0.633 0.394 0.617
S 0.633 0.606 0.117
S 0.867 0.106 0.117
S 0.867 0.894 0.617
S 0.894 0.398 0.356
S 0.894 0.602 0.856


# 7
Crystalline U3S5 at its relaxed geometry, computed with PBE-GGA.

Properties
formation energy: -1756.4 meV per atom
calculated volume: 20.67 Å³ per atom
ρ: 8.78 Mg/m³
energy above the lowest structure with this stoichiometry: 0.0000 eV/atom

Unit cell a=11.563 b=7.829 c=7.308 alpha=90.00 beta=90.00 gamma=90.00
Element x y z (fractional)
U 0.007 0.250 0.079
U 0.180 0.002 0.522
U 0.180 0.498 0.522
U 0.320 0.502 0.022
U 0.320 0.998 0.022
U 0.493 0.750 0.579
U 0.507 0.250 0.421
U 0.680 0.002 0.978
U 0.680 0.498 0.978
U 0.820 0.502 0.478
U 0.820 0.998 0.478
U 0.993 0.750 0.921
S 0.000 0.250 0.465
S 0.000 0.750 0.535
S 0.098 0.548 0.169
S 0.098 0.952 0.169
S 0.187 0.250 0.830
S 0.218 0.750 0.797
S 0.282 0.250 0.297
S 0.313 0.750 0.330
S 0.402 0.048 0.669
S 0.402 0.452 0.669
S 0.500 0.250 0.035
S 0.500 0.750 0.965
S 0.598 0.548 0.331
S 0.598 0.952 0.331
S 0.687 0.250 0.670
S 0.718 0.750 0.703
S 0.782 0.250 0.203
S 0.813 0.750 0.170
S 0.902 0.048 0.831
S 0.902 0.452 0.831


# 8
Crystalline U3S5 at its relaxed geometry, computed with PBE-GGA.

Properties
formation energy: -1597.3 meV per atom
calculated volume: 19.76 Å³ per atom
ρ: 9.18 Mg/m³
energy above the lowest structure with this stoichiometry: 0.1590 eV/atom
total magnetic moment: 7.078 μB/cell

Unit cell a=7.983 b=7.983 c=7.983 alpha=97.27 beta=97.27 gamma=138.32
Element x y z (fractional)
U 0.158 0.658 0.816
U 0.250 0.250 0.000
U 0.342 0.158 0.500
U 0.658 0.842 0.500
U 0.750 0.750 0.000
U 0.842 0.342 0.184
S 0.081 0.216 0.297
S 0.216 0.919 0.135
S 0.250 0.750 0.500
S 0.284 0.419 0.703
S 0.419 0.716 0.135
S 0.581 0.284 0.865
S 0.716 0.581 0.297
S 0.750 0.250 0.500
S 0.784 0.081 0.865
S 0.919 0.784 0.703


# 9
Crystalline U8VS17 at its relaxed geometry, computed with PBE-GGA.

Properties
formation energy: -1727.1 meV per atom
calculated volume: 21.20 Å³ per atom
ρ: 7.53 Mg/m³

Unit cell a=7.773 b=7.773 c=10.278 alpha=99.27 beta=99.27 gamma=64.69
Element x y z (fractional)
U 0.183 0.700 0.798
U 0.204 0.204 0.957
U 0.300 0.817 0.202
U 0.317 0.317 0.482
U 0.683 0.683 0.518
U 0.700 0.183 0.798
U 0.796 0.796 0.043
U 0.817 0.300 0.202
V 0.000 0.000 0.500
S 0.000 0.000 0.000
S 0.058 0.677 0.529
S 0.061 0.061 0.728
S 0.178 0.567 0.034
S 0.212 0.212 0.221
S 0.303 0.303 0.745
S 0.323 0.942 0.471
S 0.433 0.822 0.966
S 0.479 0.479 0.330
S 0.521 0.521 0.670
S 0.567 0.178 0.034
S 0.677 0.058 0.529
S 0.697 0.697 0.255
S 0.788 0.788 0.779
S 0.822 0.433 0.966
S 0.939 0.939 0.272
S 0.942 0.323 0.471


# 10
Crystalline Y4US7 at its relaxed geometry, computed with PBE-GGA.

Properties
formation energy: -2195.8 meV per atom
calculated volume: 22.92 Å³ per atom
ρ: 4.94 Mg/m³
total magnetic moment: 3.159 μB/cell

Unit cell a=6.709 b=6.709 c=11.645 alpha=104.17 beta=104.17 gamma=32.86
Element x y z (fractional)
Y 0.000 0.000 0.000
Y 0.398 0.398 0.623
Y 0.584 0.584 0.389
Y 0.700 0.700 0.810
U 0.815 0.815 0.235
S 0.041 0.041 0.761
S 0.200 0.200 0.313
S 0.359 0.359 0.863
S 0.442 0.442 0.162
S 0.659 0.659 0.027
S 0.742 0.742 0.597
S 0.960 0.960 0.462


# 11
Crystalline YUS2 at its relaxed geometry, computed with PBE-GGA.

Properties
formation energy: -1921.9 meV per atom
calculated volume: 20.89 Å³ per atom
ρ: 7.77 Mg/m³

Unit cell a=6.899 b=6.899 c=6.899 alpha=32.35 beta=32.35 gamma=32.35
Element x y z (fractional)
Y 0.000 0.000 0.000
U 0.500 0.500 0.500
S 0.250 0.250 0.250
S 0.750 0.750 0.750


# 12
Crystalline ZrU2S5 at its relaxed geometry, computed with PBE-GGA.

Properties
formation energy: -1785.0 meV per atom
calculated volume: 20.17 Å³ per atom
ρ: 7.49 Mg/m³

Unit cell a=11.449 b=7.774 c=7.250 alpha=90.00 beta=90.00 gamma=90.00
Element x y z (fractional)
Zr 0.006 0.250 0.081
Zr 0.494 0.750 0.581
Zr 0.506 0.250 0.419
Zr 0.994 0.750 0.919
U 0.179 0.501 0.530
U 0.179 0.999 0.530
U 0.321 0.001 0.030
U 0.321 0.499 0.030
U 0.679 0.501 0.970
U 0.679 0.999 0.970
U 0.821 0.001 0.470
U 0.821 0.499 0.470
S 0.002 0.250 0.455
S 0.092 0.541 0.166
S 0.092 0.959 0.166
S 0.185 0.250 0.836
S 0.212 0.750 0.811
S 0.288 0.250 0.311
S 0.315 0.750 0.336
S 0.408 0.041 0.666
S 0.408 0.459 0.666
S 0.498 0.750 0.955
S 0.502 0.250 0.045
S 0.592 0.541 0.334
S 0.592 0.959 0.334
S 0.685 0.250 0.664
S 0.712 0.750 0.689
S 0.788 0.250 0.189
S 0.815 0.750 0.164
S 0.908 0.041 0.834
S 0.908 0.459 0.834
S 0.998 0.750 0.545


# 13
Crystalline ZrUS2 at its relaxed geometry, computed with PBE-GGA.

Properties
formation energy: -1663.9 meV per atom
calculated volume: 18.73 Å³ per atom
ρ: 8.72 Mg/m³

Unit cell a=6.440 b=6.440 c=6.440 alpha=34.12 beta=34.12 gamma=34.12
Element x y z (fractional)
Zr 0.000 0.000 0.000
U 0.500 0.500 0.500
S 0.252 0.252 0.252
S 0.748 0.748 0.748


# 14
Crystalline V3S at its relaxed geometry, computed with PBE-GGA.

Properties
formation energy: -671.6 meV per atom
calculated volume: 12.62 Å³ per atom
ρ: 6.08 Mg/m³
energy above the lowest structure with this stoichiometry: 0.0000 eV/atom

Unit cell a=9.334 b=9.334 c=4.636 alpha=90.00 beta=90.00 gamma=90.00
Element x y z (fractional)
V 0.048 0.048 0.250
V 0.048 0.452 0.750
V 0.103 0.750 0.000
V 0.160 0.160 0.750
V 0.160 0.340 0.250
V 0.250 0.603 0.500
V 0.250 0.897 0.500
V 0.340 0.160 0.250
V 0.340 0.340 0.750
V 0.397 0.750 0.000
V 0.452 0.048 0.750
V 0.452 0.452 0.250
V 0.548 0.548 0.750
V 0.548 0.952 0.250
V 0.603 0.250 0.000
V 0.660 0.660 0.250
V 0.660 0.840 0.750
V 0.750 0.103 0.500
V 0.750 0.397 0.500
V 0.840 0.660 0.750
V 0.840 0.840 0.250
V 0.897 0.250 0.000
V 0.952 0.548 0.250
V 0.952 0.952 0.750
S 0.040 0.750 0.500
S 0.250 0.540 0.000
S 0.250 0.960 0.000
S 0.460 0.750 0.500
S 0.540 0.250 0.500
S 0.750 0.040 0.000
S 0.750 0.460 0.000
S 0.960 0.250 0.500


# 15
Crystalline VS4 at its relaxed geometry, computed with PBE-GGA.

Properties
formation energy: -951.8 meV per atom
calculated volume: 24.47 Å³ per atom
ρ: 2.43 Mg/m³

Unit cell a=8.621 b=8.621 c=7.306 alpha=108.25 beta=108.25 gamma=82.22
Element x y z (fractional)
V 0.116 0.616 0.616
V 0.384 0.884 0.884
V 0.616 0.116 0.116
V 0.884 0.384 0.384
S 0.078 0.472 0.269
S 0.150 0.827 0.958
S 0.173 0.334 0.462
S 0.173 0.850 0.542
S 0.308 0.630 0.939
S 0.334 0.173 0.962
S 0.370 0.692 0.561
S 0.472 0.078 0.769
S 0.528 0.922 0.231
S 0.630 0.308 0.439
S 0.666 0.827 0.038
S 0.692 0.370 0.061
S 0.827 0.150 0.458
S 0.827 0.666 0.538
S 0.850 0.173 0.042
S 0.922 0.528 0.731